# 1
The following is a PBE calculation of Na2HfMgP2SO12 after structural relaxation, from the Materials Project.

```
Na2HfMgP2SO12
1.0
8.9186 0.0000 0.0000
-4.4593 7.6621 -0.0038
0.0000 -0.0104 22.7135
Na Hf Mg P S O
12 6 6 12 6 72
Cartesian
6.0652 4.8317 5.5971
2.8534 4.8265 16.9538
1.6059 7.3823 13.1670
-1.6059 7.3875 1.8103
1.6058 2.2707 20.7407
7.3127 2.2760 9.3839
4.5116 7.5395 11.2442
4.4070 7.5342 22.6010
4.5116 2.4279 18.8179
4.4070 2.4331 7.4612
0.0523 4.9889 3.6743
-0.0523 4.9837 15.0311
-0.0326 0.0575 14.7152
0.0326 0.0627 3.3584
4.4267 2.6081 22.2851
4.4919 2.6133 10.9284
-0.0326 5.1691 7.1415
0.0326 5.1639 18.4983
-4.4441 7.6365 7.9749
4.4441 7.6312 19.3316
4.4745 2.5249 15.5485
4.4441 2.5301 4.1918
0.0151 5.0859 0.4050
-0.0151 5.0807 11.7617
2.6015 0.0690 5.7133
7.5826 2.2216 5.7489
1.3360 2.2164 17.1056
6.3171 0.0637 17.0700
7.0608 2.6195 13.2832
3.1233 4.7722 13.3188
5.7953 4.7774 1.9621
1.8578 2.6247 1.9264
2.6015 5.1701 20.8531
-1.3360 7.3227 20.8887
1.3360 7.3279 9.5320
-2.6015 5.1753 9.4964
3.1634 5.4249 5.6927
5.7551 5.4197 17.0494
3.1634 0.3133 13.2664
5.7552 0.3185 1.9096
-1.2958 2.8639 20.8362
1.2959 2.8691 9.4795
1.6998 0.1811 6.9113
3.7597 6.0463 6.8675
7.8595 1.4144 6.9985
1.0591 1.4092 18.3552
5.1589 6.0410 18.2243
7.2188 0.1759 18.2680
2.7341 7.3995 15.7707
0.6914 1.5361 15.8425
-3.3837 6.2590 15.8282
3.3837 6.2642 4.4715
-0.6914 1.5413 4.4857
-2.7341 7.4047 4.4139
6.1591 2.7317 14.4813
3.7597 0.9347 14.4413
3.4002 3.9650 14.5684
5.5184 3.9702 3.2117
5.1589 0.9399 3.0845
2.7595 2.7369 3.1246
2.7341 2.2984 0.6309
5.1507 4.0971 0.6990
5.5349 1.1579 0.6885
3.3837 1.1527 12.0453
3.7679 4.0919 12.0557
6.1844 2.2932 11.9877
1.6998 5.2823 22.0512
-0.6996 3.4853 22.0112
-1.0591 6.5155 22.1383
1.0591 6.5208 10.7816
0.6996 3.4905 10.6544
-1.6998 5.2875 10.6944
-1.7251 4.8490 8.2008
0.6914 6.6476 8.2688
1.0756 3.7084 8.2584
-1.0756 3.7032 19.6151
-0.6914 6.6424 19.6255
1.7251 4.8437 19.5575
-3.5237 6.3516 9.2914
2.8370 7.5763 9.3322
0.6796 1.5436 9.3127
-0.6796 1.5384 20.6694
-2.8370 7.5711 20.6890
3.5237 6.3464 20.6482
7.9202 1.2702 13.3901
1.6771 0.1709 13.3934
3.8096 6.2036 13.4027
5.1090 6.2089 2.0460
7.2415 0.1762 2.0367
0.9983 1.2755 2.0334
5.3949 1.2401 16.8652
2.8370 2.4648 16.9060
5.1389 4.0942 16.8826
3.7797 4.0994 5.5259
6.0816 2.4700 5.5492
3.5237 1.2453 5.5085
3.4609 3.8209 20.9601
6.1363 2.7215 20.9634
3.8096 1.0921 20.9764
5.1090 1.0973 9.6197
2.7822 2.7268 9.6066
5.4576 3.8261 9.6033
0.9356 3.8010 1.7216
-1.6223 5.0258 1.7624
0.6796 6.6552 1.7390
-0.6796 6.6500 13.0958
1.6223 5.0206 13.1191
-0.9356 3.7958 13.0783
-0.9983 6.3818 5.8165
1.6771 5.2825 5.8198
-0.6497 3.6531 5.8328
0.6497 3.6479 17.1896
-1.6771 5.2773 17.1765
0.9984 6.3766 17.1732
```

Computed properties:
Formation energy from the elements   -2813 meV/atom

***

# 2
The following is a PBE calculation of Na5Hf2Mg2P5SO24 after structural relaxation, from the Materials Project.

```
Na5Hf2Mg2P5SO24
1.0
8.9234 0.0000 0.0000
-4.4440 7.7394 0.0000
-0.0451 -0.0308 22.4876
Na Hf Mg P S O
15 6 6 15 3 72
Cartesian
0.0000 0.0000 0.0000
-4.3872 7.5883 11.2935
-2.7003 5.0259 5.4498
-2.9521 5.4563 20.5731
-1.1148 2.6698 9.2981
-1.7094 7.4851 9.4872
1.2159 2.5064 20.5318
0.0676 5.0355 7.3622
0.0053 5.1640 18.6709
1.7504 2.3934 13.1297
1.2309 7.7282 5.3984
4.4777 2.6207 3.4416
2.8833 5.3982 9.4923
4.5178 2.6057 14.9647
1.7309 7.6088 20.5707
-4.4406 7.6854 14.6583
0.0249 0.0417 3.3408
-0.0257 5.2399 22.1973
0.0284 5.2714 15.4622
4.4151 2.6862 7.0669
4.4437 2.6078 18.3070
0.0048 0.0329 19.1065
0.0591 0.0551 7.8491
0.0301 5.2004 4.1507
-0.0105 5.2344 10.9376
4.4332 2.6777 11.7183
4.5699 2.6322 0.4590
-3.1218 5.4703 16.9894
-1.2680 2.3341 5.7485
-2.6353 5.1763 1.9896
1.2944 2.3147 16.9157
2.6584 0.0254 5.7173
-1.2915 7.5148 13.0713
1.8080 2.6034 9.4934
3.1340 0.3682 20.7008
2.6397 5.2079 13.0647
1.3396 7.5484 1.9943
3.1558 4.8629 20.7053
3.1414 5.5513 5.7220
6.3120 0.0488 16.9729
7.0811 2.5975 20.6762
5.7953 4.9002 9.4342
-1.3123 2.9158 13.1172
1.3616 2.9491 1.9335
5.7802 0.3665 9.4221
-0.7714 1.7202 7.0566
-3.4622 6.5208 2.0221
-3.3436 6.2392 18.2802
-0.6315 1.5764 13.2828
-1.7762 5.0618 3.2447
-0.9867 3.7525 14.2996
-0.7156 3.4951 11.8888
-1.5809 5.0291 9.4977
-0.9494 3.8976 20.7990
-1.7028 5.3325 0.7107
-0.7379 3.7522 5.5549
-1.5993 5.2978 16.7445
0.6846 1.5987 2.0074
-2.8541 7.7145 13.2741
0.8946 1.3681 9.3092
1.6219 0.1346 20.5157
0.7422 1.7067 18.1941
-2.5923 7.5675 7.0013
0.9726 1.4620 15.6488
1.7200 0.2320 4.4969
-1.0988 6.7396 11.7664
0.7966 3.5703 0.6688
0.6807 3.7300 16.7041
-0.8669 6.5418 5.5405
-0.7594 6.6955 14.2802
1.0181 3.7559 3.0946
0.9633 3.9052 9.5127
-0.6256 6.6772 20.8061
2.6576 2.3730 10.7477
3.3817 1.2497 21.9046
2.8467 2.4514 16.9722
3.5893 1.2889 5.7953
2.8003 2.7764 1.8010
2.7972 2.7766 8.2643
3.8160 0.9975 19.4355
3.7838 1.1790 13.0960
1.5815 4.9802 20.8059
1.6290 5.0580 14.2512
0.6913 6.7653 9.4858
0.9458 6.5429 16.7531
1.6484 5.3779 5.5052
0.8454 6.8324 3.2458
1.0502 6.6508 0.7122
1.8615 5.3894 11.7561
3.3777 3.9655 19.4320
3.4995 3.9310 13.0985
5.1435 1.1724 1.8285
5.2270 1.0130 8.1724
5.4097 1.3114 16.9921
5.4886 1.2196 10.5814
3.7899 4.1941 21.9057
3.8771 4.1568 5.7756
3.3856 6.3423 7.0118
2.6330 7.6006 18.2682
3.5268 6.4713 13.2877
2.9133 7.6639 2.0336
7.2493 0.1809 15.7457
7.2525 0.2071 9.3137
3.7274 6.2877 20.5328
3.8504 6.2644 4.5232
6.0637 2.4156 5.7935
5.1356 4.0703 17.0073
5.1632 4.1617 10.6034
6.2005 2.3508 21.8843
5.3657 3.9849 1.8255
6.1574 2.7379 13.0371
5.5197 4.0483 8.1201
6.1771 2.8709 19.4215
7.9367 1.3836 4.5451
5.1345 6.3005 9.3171
5.1973 6.2111 15.7584
8.0306 1.3951 20.4964
```

Computed properties:
Space group   P1
Crystal system   triclinic
Formation energy from the elements   -2898 meV/atom